A relaxed structure of Fe4C14O13, computed with GGA+U.

Energy with MP2020 corrections ... -7.18 eV per atom
Formation energy from the elements ... 152 meV/atom
Spin magnetization ... 0.04 μB per cell

Structure (CIF):
```
data_Fe4C14O13
_space_group_name_H-M_alt 'P 1 21/c 1'
_space_group_IT_number 14
_space_group_name_Hall '-P 2ybc'
_cell_length_a 9.535
_cell_length_b 22.486
_cell_length_c 12.364
_cell_angle_alpha 90.00
_cell_angle_beta 129.62
_cell_angle_gamma 90.00
loop_
_atom_site_label
_atom_site_fract_x
_atom_site_fract_y
_atom_site_fract_z
Fe1 0.088 0.035 0.318
Fe2 0.098 0.623 0.369
Fe3 0.168 0.666 0.210
Fe4 0.188 0.156 0.379
C1 0.017 0.592 0.454
C2 0.022 0.605 0.188
C3 0.045 0.020 0.746
C4 0.109 0.663 0.041
C5 0.123 0.185 0.210
C6 0.191 0.008 0.491
C7 0.195 0.233 0.411
C8 0.216 0.747 0.246
C9 0.246 0.685 0.474
C10 0.248 0.004 0.297
C11 0.279 0.141 0.556
C12 0.289 0.574 0.473
C13 0.368 0.645 0.282
C14 0.394 0.131 0.420
O1 0.030 0.071 0.988
O2 0.074 0.661 0.933
O3 0.151 0.216 0.150
O4 0.217 0.216 0.935
O5 0.250 0.703 0.763
O6 0.251 0.511 0.099
O7 0.264 0.107 0.942
O8 0.344 0.135 0.673
O9 0.349 0.518 0.788
O10 0.350 0.721 0.552
O11 0.378 0.068 0.020
O12 0.414 0.545 0.550
O13 0.465 0.619 0.049
```